A:
Sr4LaMn5O15 | GGA+U | relaxed

```
50
Lattice="3.9265 -0.0008 3.8594 -7.8718 7.7031 7.7361 -3.9280 -7.6983 0.0031" Properties=species:S:1:pos:R:3 pbc="T T T"
Sr -0.0068 -0.0064 3.8693
Sr -3.9493 3.8466 7.7427
Sr -3.9314 -3.8443 3.8710
Sr -7.8524 0.0119 7.7174
Sr -3.9512 -0.0051 3.8895
Sr -7.8600 3.8492 7.7349
Sr 0.0010 -3.8396 3.8442
Sr -3.9455 0.0080 7.7325
La -7.8488 0.0023 11.5662
La -3.9525 3.8435 3.8769
Mn -1.9563 1.9168 1.9340
Mn -5.9146 1.9266 5.8102
Mn -5.8942 5.7788 9.6643
Mn -1.9599 -5.7519 1.9228
Mn -5.9116 -1.9267 5.7992
Mn -9.8273 -1.9218 5.8038
Mn -1.9595 -1.9308 5.7920
Mn -5.8914 1.9425 9.6565
Mn -1.9821 -1.9206 1.9386
Mn -1.9883 1.9104 5.8020
O -9.7361 0.0030 9.6390
O -2.0522 3.8544 5.8141
O -0.0564 -1.9238 5.7981
O -7.8575 1.9269 5.8080
O -1.9773 -1.9202 3.8869
O -5.8900 1.9241 7.7329
O -2.0385 -3.8645 5.8285
O -5.9217 -0.0033 9.6959
O -1.9285 0.0023 1.9098
O -5.8739 3.8574 5.7762
O -2.0696 0.0070 5.8523
O -5.8859 3.8535 9.6791
O -1.9168 -3.8412 1.9051
O -5.9014 0.0010 5.7777
O -4.0341 -2.0005 5.8350
O -7.7880 1.8849 9.6942
O 0.1255 -1.8477 1.8931
O -3.9798 1.9824 5.7691
O 2.0432 -1.8532 3.8255
O -1.9686 1.9937 7.7458
O -5.9788 -1.9913 3.8923
O -9.8343 1.8708 7.7152
O -3.8582 -5.8050 1.9114
O -7.8870 -1.9507 5.7638
O -0.1334 1.9576 5.8296
O -3.9019 5.8076 9.6962
O -2.0466 1.9548 3.9068
O -5.9045 5.8105 7.7187
O -1.9019 -5.8216 3.8363
O -5.8941 -1.9543 7.7366
```

- Spin magnetization: 0.64 μB per atom

---

B:
Sr4LaMn5O15 | GGA+U | relaxed

```
50
Lattice="3.8997 -0.0011 3.9019 -7.7935 7.6715 7.7955 -3.9020 -7.6812 0.0045" Properties=species:S:1:pos:R:3 pbc="T T T"
Sr -0.0036 -0.0056 3.9055
Sr -3.9003 3.8301 7.8032
Sr -3.8955 -3.8408 3.8987
Sr -7.7923 -0.0052 7.7966
Sr -3.8974 -0.0080 3.8999
Sr -7.7942 3.8279 7.7976
Sr -0.0016 -3.8385 3.9042
Sr -3.8982 -0.0029 7.8019
La -7.7934 7.6714 7.7955
La -3.8967 3.8357 3.8977
Mn -5.8503 -5.7633 1.9533
Mn -5.8341 1.9179 9.7374
Mn -5.8584 1.9071 5.8623
Mn -1.9540 1.9023 5.8571
Mn -1.9451 -5.7492 1.9470
Mn -9.7470 -1.9276 5.8511
Mn -1.9372 -1.9179 5.8397
Mn -1.9619 -1.9285 1.9646
Mn -5.8506 5.7384 9.7548
Mn -5.8418 -1.9131 5.8448
O 1.9498 -0.0005 1.9510
O -1.9469 3.8352 5.8487
O -3.8993 -1.9227 1.9511
O -3.8964 1.9120 9.7508
O -1.9495 -1.9233 3.9020
O -5.8463 1.9125 7.7998
O -1.9787 -3.8457 5.8832
O -5.8754 -0.0101 9.7810
O -1.9203 -0.0008 1.9208
O -5.8171 3.8351 5.8187
O -1.9667 -0.0059 5.8689
O -5.8634 3.8299 9.7665
O -1.9323 -3.8406 1.9353
O -5.8291 -0.0051 5.8332
O -3.9252 -1.9840 5.8989
O -7.8219 1.8518 9.7966
O 0.0261 -1.8626 1.9053
O -3.8707 1.9732 5.8031
O 1.9966 -1.8637 3.8751
O -1.9001 1.9721 7.7729
O -5.8957 -1.9829 3.9291
O -9.7924 1.8530 7.8268
O -3.9104 -5.8043 1.9194
O -7.8072 -1.9686 5.8172
O 0.0114 1.9579 5.8847
O -3.8853 5.7936 9.7825
O -1.9841 1.9586 3.8886
O -5.8808 5.7944 7.7864
O -1.9149 -5.8051 3.9155
O -5.8117 -1.9694 7.8133
```

- Spin magnetization: 0.00 μB per atom

---

Quick one: least stable of them? A

---

A:
Sr3LaTi2Mn2O12 | GGA+U | relaxed

```
20
Lattice="0.7947 6.9595 -6.5625 -3.4271 3.7186 -8.1584 -4.2006 7.5400 -4.1994" Properties=species:S:1:pos:R:3 pbc="T T T"
Sr -1.7038 4.5427 -4.7178
Sr 0.0000 0.0000 0.0000
Sr -5.1291 13.6754 -14.2025
La -3.4165 9.1091 -9.4601
Ti -4.2685 11.3808 -11.8194
Ti -2.5644 6.8373 -7.1009
Mn -0.8551 2.2800 -2.3678
Mn -5.9778 15.9381 -16.5524
O -1.7136 1.8593 -4.0792
O -3.4113 11.7573 -10.0998
O -1.7029 7.2497 -5.3810
O -3.4216 6.4608 -8.8204
O -3.8016 8.3381 -6.8756
O -2.1003 3.7700 -2.0997
O -3.0314 9.8800 -12.0447
O -1.3162 5.3390 -7.3604
O -1.3476 8.0529 -8.0365
O 0.3974 3.4797 -3.2812
O -5.4854 10.1652 -10.8838
O -3.8139 5.6293 -6.1789
```

- Spin magnetization: 0.35 μB per atom

---

B:
Sr3LaTi2Mn2O12 | GGA+U | relaxed

```
40
Lattice="3.9872 -0.0049 3.9122 -3.9865 7.7759 3.9021 -3.9722 -7.7717 3.9071" Properties=species:S:1:pos:R:3 pbc="T T T"
Sr -1.9882 1.9408 1.9554
Sr -1.9879 5.8246 5.8596
Sr -5.9370 -1.9123 5.8355
Sr -1.9503 -5.8027 5.8398
Sr -1.9932 1.9224 5.8707
Sr -1.9934 -1.9631 1.9637
La -1.9646 -1.9204 5.8351
La -1.9601 1.9632 9.7439
Ti -3.9575 -3.8635 7.7941
Ti -3.9569 0.0217 11.7004
Ti 0.0262 0.0047 3.8941
Ti -3.9608 3.8945 3.8892
Mn -3.9610 3.8699 7.8161
Mn -3.9715 -3.8766 3.9070
Mn -3.9614 -0.0143 3.9092
Mn -3.9721 0.0075 7.8125
O -3.9464 -0.0156 5.8473
O 0.0416 -3.9063 5.8525
O -3.9381 -1.9466 3.9107
O -3.9418 1.9383 7.8142
O -1.8951 -0.0247 7.8309
O -1.8950 -3.9092 3.9248
O -0.0328 -0.0027 1.9621
O -0.0332 3.8824 5.8690
O -0.0344 1.9419 3.9188
O -0.0334 5.8277 7.8247
O 1.9546 0.0107 3.9038
O -2.0329 3.9000 3.8981
O -3.9977 0.0451 9.7547
O -3.9983 -3.8407 5.8480
O -0.0041 -0.0610 5.8964
O -3.9911 3.8297 5.8913
O -3.9806 1.8962 3.9409
O 0.0064 -1.9942 3.9459
O -4.0141 -1.8990 7.8014
O -0.0247 -5.7890 7.8062
O -1.9655 -0.0808 3.9792
O -1.9657 3.8028 7.8854
O -6.0690 0.0944 7.7368
O -2.0818 -3.7945 7.7425
```

- Spin magnetization: 0.00 μB per atom

---

Quick one: least stable of them? A

---

A:
La3MoO7 | GGA+U | relaxed

```
44
Lattice="-1.5102 -7.3018 1.4328 -0.5264 -1.3876 -7.6262 10.9581 -2.3316 -0.3321" Properties=species:S:1:pos:R:3 pbc="T T T"
La 1.3356 -6.7944 -2.7986
La 1.0906 -7.4004 -6.6290
La 7.5860 -4.2267 -3.7269
La 7.8310 -3.6207 0.1035
La 4.7403 -2.5280 -5.8063
La -0.5431 -3.6773 -1.2750
La 9.1289 -9.5458 -0.8691
La 4.5170 -6.2910 -5.1005
La 4.1812 -8.4931 -0.7192
La 9.4647 -7.3437 -5.2505
La -0.2073 -1.4753 -5.6564
La 4.4046 -4.7301 -1.4250
Mo 2.0996 -3.0951 -3.5609
Mo 2.3583 -2.4230 0.2565
Mo 6.8219 -7.9260 -2.9646
Mo 6.5632 -8.5981 -6.7820
O 3.7596 -1.9452 -3.6115
O 0.2083 -4.8648 -6.7927
O 7.8705 -9.6522 -2.9961
O 6.0047 -5.5799 0.3493
O 5.1619 -9.0759 -2.9140
O 8.7133 -6.1563 0.2672
O 1.0510 -1.3688 -3.5294
O 2.9169 -5.4411 -6.8748
O 8.5035 -6.8507 -3.0021
O 4.9181 -9.5772 -6.2161
O 3.1975 -4.7618 -3.6076
O 1.2239 -0.8524 -0.2252
O 0.4180 -4.1704 -3.5234
O 4.0034 -1.4439 -0.3094
O 5.7241 -6.2593 -2.9179
O 7.6976 -10.1686 -6.3003
O 2.5994 -7.5934 -4.7235
O 0.0894 -5.9091 -0.8992
O 9.1747 -4.0346 -1.8885
O 5.9796 -4.5051 -5.5399
O 6.3222 -3.4277 -1.8020
O 8.8322 -5.1120 -5.6263
O -0.2531 -6.9864 -4.6370
O 2.9419 -6.5160 -0.9856
O 2.0580 -3.0062 -5.5584
O 2.1360 -3.2077 -1.5696
O 6.8636 -8.0149 -0.9670
O 6.7856 -7.8134 -4.9559
```

- Spin magnetization: 0.09 μB per atom

---

B:
La3MoO7 | GGA+U | relaxed

```
44
Lattice="-6.7343 -2.9348 -2.3905 2.1610 -7.0509 2.5685 -4.4982 2.2370 9.9255" Properties=species:S:1:pos:R:3 pbc="T T T"
La -4.8056 -6.8577 8.7659
La -3.5318 -1.6015 4.5862
La -4.1271 -3.7077 11.0253
La -3.2768 -7.3105 0.5709
La -7.2073 -2.8775 4.0246
La -0.2006 -3.1156 3.6814
La -5.4699 -3.1825 7.5426
La -7.6670 -2.3414 0.2171
La -5.2465 -6.2354 5.0286
La -2.0339 -4.7290 6.6114
La -1.5896 -2.5871 0.0959
La -9.2731 -1.9458 8.4711
Mo -2.3206 -7.9563 3.8510
Mo -9.0223 -4.7785 6.3468
Mo -3.4218 -4.4348 2.5734
Mo -3.3783 1.6724 7.4357
O -5.6939 -1.8005 5.5429
O -1.2126 -1.0083 4.4284
O -5.6705 -4.6867 9.4713
O -5.5660 -8.0017 0.7643
O -7.0329 -1.3779 8.1298
O -0.2331 -1.5876 1.7140
O -4.2769 -5.2876 6.9494
O -6.6001 -7.2441 3.4139
O -1.6331 -6.9069 5.4284
O -7.1189 -4.6987 5.6892
O -4.2413 -5.0536 0.8392
O -5.1499 1.1621 8.2501
O -6.1627 -1.3923 2.1855
O -2.9973 -2.3985 6.9859
O -1.5905 -4.4380 1.8490
O -7.3926 -7.2684 9.1866
O -3.4384 -6.3833 3.0845
O -2.2408 -3.8833 9.1239
O -3.4008 -2.4291 2.0363
O -9.0631 -2.8015 5.9623
O -6.0518 -7.7137 6.8485
O -2.4499 -3.7828 4.3580
O -0.9050 -7.5435 2.6521
O -5.3056 -2.0400 -0.3263
O -3.5331 0.6325 5.8525
O -5.0452 -4.1698 3.5254
O -8.6598 -4.4164 8.1770
O -4.3359 -1.9606 9.3268
```

- Spin magnetization: 0.09 μB per atom

---

Quick one: least stable of them? A

---

A:
La2Ni2O5 | GGA+U | relaxed

```
36
Lattice="-4.8020 -5.4343 -3.1275 5.2191 -1.6379 -5.1674 7.7907 -6.9431 0.1025" Properties=species:S:1:pos:R:3 pbc="T T T"
La 5.9777 -4.6275 -5.8672
La 9.7497 -8.2387 -5.8963
La 2.2300 -9.3879 -2.3252
La -1.5420 -5.7768 -2.2961
La 0.8875 -6.7200 -4.9845
La 4.9471 -10.0057 -4.8263
La 7.3202 -7.2954 -3.2079
La 3.2606 -4.0097 -3.3661
Ni 1.4943 -6.1887 -1.5125
Ni 0.0000 0.0000 0.0000
Ni 4.1039 -7.0077 -4.0962
Ni 2.6095 -0.8190 -2.5837
Ni -2.4010 -2.7172 -1.5637
Ni 3.8953 -3.4716 0.0512
Ni 0.2085 -3.5361 -4.1474
Ni 6.5049 -4.2905 -2.5325
O 0.8923 -5.2445 -3.0341
O 2.7744 -10.9944 -4.2940
O 7.3154 -8.7709 -5.1583
O 5.4333 -3.0210 -3.8983
O 2.7686 -4.8342 -1.1989
O 6.8383 -8.1084 -1.0341
O 5.4391 -9.1812 -6.9935
O 1.3694 -5.9070 -7.1583
O -1.3898 -3.5191 -3.0338
O 0.7358 -8.9934 -4.1351
O 9.5975 -10.4963 -5.1586
O 7.4719 -5.0220 -4.0573
O 1.3210 -2.1803 -2.8739
O 5.0469 -5.8435 -2.9330
O 6.8867 -11.8351 -5.3185
O 3.1608 -8.1719 -5.2594
O 3.8017 -5.5966 -5.3091
O 9.7247 -6.7734 -3.9372
O 4.4060 -8.4188 -2.8833
O -1.5170 -7.2421 -4.2552
```

- Spin magnetization: 0.44 μB per atom

---

B:
La2Ni2O5 | GGA+U | relaxed

```
18
Lattice="-2.3215 -2.9299 -4.1715 3.4190 2.5674 -3.6186 5.2167 -5.4660 0.1841" Properties=species:S:1:pos:R:3 pbc="T T T"
La 3.4553 -0.3772 -5.6462
La 2.8983 -0.1828 -1.7968
La 2.8589 -5.4513 -1.9598
La 3.4160 -5.6458 -5.8092
Ni 3.1571 -2.9143 -3.8030
Ni 0.5488 -0.1813 -3.8950
Ni 2.6083 -2.7330 0.0920
Ni 0.0000 0.0000 0.0000
O -0.6672 -3.9612 -4.0918
O 6.9814 -1.8674 -3.5142
O 4.2129 -1.3823 -3.3946
O 2.1532 0.8342 -4.0472
O 2.1013 -4.4463 -4.2114
O 4.1611 -6.6628 -3.5588
O 2.4540 -2.8566 -2.0505
O 0.7545 -0.7153 -5.6954
O 5.5597 -5.1133 -1.9106
O 3.8602 -2.9720 -5.5555
```

- Spin magnetization: 0.22 μB per atom

---

C:
La2Ni2O5 | GGA+U | relaxed

```
18
Lattice="0.0000 -0.0002 5.4640 5.6907 -0.0003 0.0000 -2.8458 7.9262 2.7317" Properties=species:S:1:pos:R:3 pbc="T T T"
La 0.0915 1.7240 2.7652
La 2.7531 6.2013 5.4970
La 2.7537 1.7238 5.4972
La 0.0916 6.2016 2.7650
Ni 2.8452 0.0004 2.7934
Ni 3.1787 3.9623 2.5548
Ni 0.0002 0.0007 0.0613
Ni -0.3338 3.9625 5.2867
O -0.6263 3.9628 3.2692
O 3.4713 3.9627 6.0011
O -1.3945 7.7018 4.1324
O 4.2395 0.2244 1.4007
O -1.4516 7.7017 6.8644
O 4.2965 0.2243 4.1326
O 0.3917 2.1780 5.6333
O 2.4523 5.7472 2.9011
O 2.4532 2.1780 2.9013
O 0.3924 5.7473 5.6331
```

- Spin magnetization: 0.00 μB per atom

---

Quick one: least stable of them? A